{"formula": "Na3V5O10", "functional": "PBE with a Hubbard U", "state": "relaxed", "polymorph_energy_mev_per_atom": 1, "energy_mp2020_ev_per_atom": -7.895, "e_form_ev_per_atom": -2.4027, "e_tot_ev_per_cell": -253.5, "lattice": [[5.134, 0.000, 0.000], [2.563, 7.642, 0.000], [0.665, 1.429, 11.137]], "species": ["Na", "Na", "Na", "Na", "Na", "Na", "V", "V", "V", "V", "V", "V", "V", "V", "V", "V", "O", "O", "O", "O", "O", "O", "O", "O", "O", "O", "O", "O", "O", "O", "O", "O", "O", "O", "O", "O"], "frac_coords": [[0.000, 0.000, 0.000], [0.098, 0.292, 0.503], [0.303, 0.896, 0.501], [0.500, 0.500, 0.500], [0.599, 0.792, 0.003], [0.803, 0.396, 0.001], [0.052, 0.145, 0.250], [0.150, 0.443, 0.755], [0.247, 0.746, 0.249], [0.356, 0.049, 0.755], [0.450, 0.348, 0.247], [0.552, 0.645, 0.750], [0.651, 0.943, 0.255], [0.747, 0.245, 0.748], [0.856, 0.549, 0.254], [0.950, 0.848, 0.747], [0.043, 0.064, 0.658], [0.077, 0.224, 0.847], [0.110, 0.366, 0.161], [0.164, 0.523, 0.348], [0.242, 0.664, 0.658], [0.280, 0.832, 0.845], [0.319, 0.967, 0.155], [0.357, 0.132, 0.345], [0.416, 0.261, 0.654], [0.490, 0.430, 0.841], [0.543, 0.564, 0.158], [0.577, 0.725, 0.347], [0.610, 0.866, 0.661], [0.664, 0.023, 0.848], [0.743, 0.163, 0.157], [0.780, 0.332, 0.345], [0.818, 0.468, 0.655], [0.857, 0.632, 0.844], [0.916, 0.762, 0.155], [0.989, 0.930, 0.342]]}